[1]
# AlCu3PbSe4

An optimized crystal structure of AlCu3PbSe4 (PBE, the Materials Project).

Properties
raw total energy: -36.3 eV/f.u.
spin magnetization: 0.000 Bohr magnetons per cell
energy of formation: -4.443 eV/f.u.

Unit cell a=6.0378 b=6.0378 c=6.0378 alpha=90.00 beta=90.00 gamma=90.00
Closest atoms and distances in Å follow each position.
Space group P-43m (No. 215)
Symmetry-distinct sites (fractional):
Al  0.0000  0.0000  0.0000 (multiplicity 1)  4 Se 2.38
Cu  0.0000  0.0000  0.5000 (multiplicity 3)  4 Se 2.55
Pb  0.5000  0.5000  0.5000 (multiplicity 1)  4 Se 2.85
Se  0.2274  0.2274  0.2274 (multiplicity 4)  1 Al 2.38, 3 Cu 2.55

=====

[2]
# Al2CuPd

An optimized crystal structure of Al2CuPd (PBE, the Materials Project).

Properties
raw total energy: -19.0 eV/f.u.
energy of formation: -2.184 eV/f.u.

Unit cell a=6.0584 b=6.0584 c=6.0584 alpha=90.00 beta=90.00 gamma=90.00
Closest atoms and distances in Å follow each position.
Space group Fm-3m (No. 225)
Symmetry-distinct sites (fractional):
Al  0.2500  0.2500  0.2500 (multiplicity 8)  4 Cu 2.62, 4 Pd 2.62
Cu  0.0000  0.0000  0.0000 (multiplicity 4)  8 Al 2.62
Pd  0.0000  0.0000  0.5000 (multiplicity 4)  8 Al 2.62

=====

[3]
# AlCuPd2

An optimized crystal structure of AlCuPd2 (PBE, the Materials Project).

Properties
raw total energy: -20.6 eV/f.u.
spin magnetization: 0.000 Bohr magnetons per cell
energy of formation: -2.411 eV/f.u.

Unit cell a=3.1077 b=3.1077 c=5.7860 alpha=90.00 beta=90.00 gamma=90.00
Closest atoms and distances in Å follow each position.
Space group P4/mmm (No. 123)
Symmetry-distinct sites (fractional):
Al  0.0000  0.0000  0.0000 (multiplicity 1)  8 Pd 2.62, 2 Cu 2.89
Cu  0.0000  0.0000  0.5000 (multiplicity 1)  8 Pd 2.65, 2 Al 2.89
Pd  0.5000  0.5000  0.2450 (multiplicity 2)  4 Al 2.62, 4 Cu 2.65, 1 Pd 2.84

=====

[4]
# PrAl8Cu4

An optimized crystal structure of PrAl8Cu4 (PBE, the Materials Project).

Properties
raw total energy: -55.2 eV/f.u.
energy of formation: -4.054 eV/f.u.

Unit cell a=8.9112 b=8.9112 c=5.2019 alpha=90.00 beta=90.00 gamma=90.00
Closest atoms and distances in Å follow each position.
Space group I4/mmm (No. 139)
Symmetry-distinct sites (fractional):
Pr  0.0000  0.0000  0.0000 (multiplicity 2)  12 Al 3.11-3.27, 8 Cu 3.41
Al  0.0000  0.2218  0.5000 (multiplicity 8)  4 Cu 2.59, 6 Al 2.80-2.84
Al  0.0000  0.3492  0.0000 (multiplicity 8)  5 Al 2.69-2.84, 4 Cu 2.73
Cu  0.2500  0.2500  0.2500 (multiplicity 8)  8 Al 2.59-2.73, 2 Cu 2.60

=====

[5]
# PrAlCu

An optimized crystal structure of PrAlCu (PBE, the Materials Project).

Properties
raw total energy: -11.7 eV/f.u.
spin magnetization: 0.002 Bohr magnetons per cell
energy of formation: 0.884 eV/f.u.

Unit cell a=7.2204 b=7.2204 c=4.8502 alpha=90.00 beta=90.00 gamma=120.00
Closest atoms and distances in Å follow each position.
Space group P-62m (No. 189)
Symmetry-distinct sites (fractional):
Pr  0.0000  0.0000  0.0000 (multiplicity 1)  6 Al 2.89, 3 Cu 3.13
Pr  0.3333  0.6667  0.5000 (multiplicity 2)  3 Al 2.92, 6 Cu 3.23
Al  0.0000  0.2178  0.5000 (multiplicity 3)  2 Al 2.72, 4 Pr 2.89-2.92
Cu  0.0000  0.5668  0.0000 (multiplicity 3)  5 Pr 3.13-3.23, 2 Al 3.50

=====

[6]
# PrAlCu

An optimized crystal structure of PrAlCu (PBE, the Materials Project).

Properties
raw total energy: -13.7 eV/f.u.
energy of formation: -1.084 eV/f.u.

Unit cell a=7.1424 b=7.1424 c=4.2592 alpha=90.00 beta=90.00 gamma=120.00
Closest atoms and distances in Å follow each position.
Space group P-62m (No. 189)
Symmetry-distinct sites (fractional):
Pr  0.0000  0.5849  0.0000 (multiplicity 3)  5 Cu 2.96-3.03
Al  0.0000  0.2270  0.5000 (multiplicity 3)  4 Cu 2.68-2.84, 2 Al 2.81
Cu  0.0000  0.0000  0.0000 (multiplicity 1)  6 Al 2.68, 3 Pr 2.96
Cu  0.3333  0.6667  0.5000 (multiplicity 2)  3 Al 2.84, 6 Pr 3.03